Entry 1:
An optimized crystal structure of KMgMn4O8. Source: Materials Project, functional PBE with a Hubbard U.

a = 3.2053 Å, b = 7.5516 Å, c = 7.6049 Å
α = 87.89°, β = 77.90°, γ = 79.93°
With the nearest neighbours (Å) after each atom.
Fractional coordinates of all 14 atoms:
K 0.0000 0.0000 0.0000  5 O 2.96-3.22, 2 K 3.21
Mg 0.2513 0.5067 0.5002  4 O 1.93-1.96
Mn 0.0751 0.1648 0.5214  5 O 1.93-2.04
Mn 0.4263 0.5141 0.8370  5 O 1.94-2.03
Mn 0.7451 0.8357 0.4747  5 O 1.95-2.12
Mn 0.7694 0.4658 0.1660  5 O 1.95-2.12
O 0.2181 0.9610 0.3607  3 Mn 1.93-2.12
O 0.3878 0.6882 0.6409  1 Mg 1.93, 2 Mn 1.96-1.97
O 0.4119 0.3515 0.0404  3 Mn 1.94-2.12
O 0.5602 0.0447 0.6338  3 Mn 1.95-2.04
O 0.6577 0.3027 0.3754  1 Mg 1.96, 2 Mn 1.99-2.04
O 0.8312 0.6244 0.9569  3 Mn 1.95-2.03
O 0.9662 0.3656 0.6944  1 Mg 1.95, 2 Mn 1.98-2.01
O 0.9839 0.6286 0.3122  1 Mg 1.94, 2 Mn 1.97-1.98

Entry 2:
An optimized crystal structure of KMgMn16O32. Source: Materials Project, functional PBE with a Hubbard U.

a = 5.9013 Å, b = 9.5333 Å, c = 10.5106 Å
α = 88.57°, β = 89.83°, γ = 89.64°
With the nearest neighbours (Å) after each atom.
Fractional coordinates of all 50 atoms:
K 0.0000 0.0000 0.0000  4 O 2.54-2.58, 1 Mg 2.68
Mg 0.0088 0.9756 0.7468  5 O 1.98-2.07
Mn 0.9999 0.3313 0.0715  6 O 1.91-1.97
Mn 0.0000 0.8336 0.2699  6 O 1.91-2.01
Mn 0.0006 0.6637 0.7793  6 O 1.89-2.01
Mn 0.2479 0.1731 0.2778  6 O 1.90-2.01
Mn 0.2485 0.3376 0.7675  6 O 1.91-2.05
Mn 0.2499 0.6555 0.0867  6 O 1.91-1.96
Mn 0.2569 0.8167 0.5648  6 O 1.93-2.14
Mn 0.4994 0.6771 0.7871  6 O 1.94-2.14
Mn 0.4998 0.1487 0.5865  6 O 1.93-2.13
Mn 0.4999 0.3271 0.0690  6 O 1.92-1.96
Mn 0.5006 0.8382 0.2656  6 O 1.91-1.97
Mn 0.7484 0.1732 0.2785  6 O 1.93-2.00
Mn 0.7490 0.6558 0.0868  6 O 1.92-1.96
Mn 0.7516 0.3378 0.7671  6 O 1.94-2.01
Mn 0.7524 0.8183 0.5670  6 O 1.92-2.01
Mn 0.9990 0.1720 0.5695  6 O 1.87-2.07
O 0.0001 0.3038 0.8861  3 Mn 1.94-1.97
O 0.0001 0.3562 0.6428  3 Mn 1.93-1.97
O 0.9998 0.6408 0.2076  3 Mn 1.95-1.97
O 0.0006 0.9551 0.5596  3 Mn 1.97-2.07, 1 Mg 1.98
O 0.0036 0.6859 0.5914  3 Mn 1.95-1.98
O 0.2294 0.8117 0.7682  3 Mn 1.96-2.14, 1 Mg 2.04
O 0.2309 0.1355 0.7059  3 Mn 2.01-2.05, 1 Mg 2.05
O 0.2453 0.1888 0.4577  3 Mn 1.87-2.05
O 0.2466 0.5359 0.7859  3 Mn 1.89-2.02
O 0.2482 0.8480 0.1448  3 Mn 1.95-1.97
O 0.2498 0.1963 0.0868  3 Mn 1.94-2.01
O 0.2508 0.4574 0.0627  3 Mn 1.91-1.92
O 0.2539 0.8076 0.3807  3 Mn 1.91-1.94
O 0.4978 0.3067 0.2551  3 Mn 1.96
O 0.4995 0.6432 0.2086  3 Mn 1.95-1.97
O 0.4994 0.6924 0.9709  3 Mn 1.94
O 0.5004 0.0418 0.2790  3 Mn 1.93-1.95
O 0.5008 0.3033 0.8844  3 Mn 1.95-1.96
O 0.5015 0.3415 0.6468  3 Mn 1.95-1.96
O 0.5034 0.9485 0.5654  3 Mn 1.92-1.93
O 0.5078 0.6882 0.6000  3 Mn 1.93-1.97
O 0.7474 0.1907 0.4610  3 Mn 1.88-2.00
O 0.7477 0.4571 0.0627  3 Mn 1.91-1.92
O 0.7480 0.8018 0.3836  3 Mn 1.93-1.94
O 0.7484 0.8479 0.1417  3 Mn 1.93-2.01
O 0.7505 0.5390 0.7875  3 Mn 1.90-1.98
O 0.7516 0.1958 0.0891  3 Mn 1.94-2.00
O 0.7774 0.8181 0.7579  3 Mn 1.98-2.14, 1 Mg 2.04
O 0.7814 0.1382 0.7124  3 Mn 1.99-2.13, 1 Mg 2.07
O 0.9979 0.3067 0.2569  3 Mn 1.95-1.96
O 0.9985 0.0408 0.2732  3 Mn 1.94-1.98
O 0.9989 0.6909 0.9685  3 Mn 1.95-2.01

Computed values of V (unit: Å³/cell) for the preceding records, in sequence: 177, 591.
Computed values of uncorrected energy (unit: eV per atom) for the preceding records, in sequence: -6.7735, -7.0359.
Computed values of formation energy (unit: eV per atom) for the preceding records, in sequence: -2.004, -1.857.